Compound: Nd6I8O45
Source: the Materials Project
Functional: PBE-GGA
Structure: optimized geometry

Structure (CIF):
```
data_Nd6I8O45
_chemical_formula_sum 'Nd12 I16 O90'
_symmetry_space_group_name_H-M 'P 1'
_symmetry_Int_Tables_number 1
_cell_length_a 10.1927
_cell_length_b 12.6908
_cell_length_c 16.7840
_cell_angle_alpha 90.00
_cell_angle_beta 90.00
_cell_angle_gamma 90.00
loop_
_symmetry_equiv_pos_as_xyz
'x,y,z'
loop_
_atom_site_label
_atom_site_type_symbol
_atom_site_fract_x
_atom_site_fract_y
_atom_site_fract_z
Nd1 Nd 0.0000 0.0000 0.1617
Nd2 Nd 0.0000 0.0000 0.8383
Nd3 Nd 0.0795 0.2014 0.0000
Nd4 Nd 0.2261 0.4676 0.5000
Nd5 Nd 0.2739 0.9676 0.0000
Nd6 Nd 0.4205 0.7014 0.5000
Nd7 Nd 0.5000 0.5000 0.3383
Nd8 Nd 0.5000 0.5000 0.6617
Nd9 Nd 0.5795 0.2986 0.5000
Nd10 Nd 0.7261 0.0324 0.0000
Nd11 Nd 0.7739 0.5324 0.5000
Nd12 Nd 0.9205 0.7986 0.0000
I1 I 0.0000 0.5000 0.0966
I2 I 0.0000 0.5000 0.9034
I3 I 0.0352 0.7416 0.5000
I4 I 0.1512 0.7620 0.1965
I5 I 0.1512 0.7620 0.8035
I6 I 0.3488 0.2620 0.3035
I7 I 0.3488 0.2620 0.6965
I8 I 0.4648 0.2416 0.0000
I9 I 0.5000 0.0000 0.4034
I10 I 0.5000 0.0000 0.5966
I11 I 0.5352 0.7584 0.0000
I12 I 0.6512 0.7380 0.3035
I13 I 0.6512 0.7380 0.6965
I14 I 0.8488 0.2380 0.1965
I15 I 0.8488 0.2380 0.8035
I16 I 0.9648 0.2584 0.5000
O1 O 0.0000 0.0000 0.0000
O2 O 0.0143 0.5966 0.3372
O3 O 0.0143 0.5966 0.6628
O4 O 0.0144 0.6007 0.0000
O5 O 0.0210 0.8053 0.4040
O6 O 0.0210 0.8053 0.5960
O7 O 0.0341 0.6330 0.1650
O8 O 0.0341 0.6330 0.8350
O9 O 0.0663 0.5948 0.5000
O10 O 0.0973 0.4423 0.3388
O11 O 0.0973 0.4423 0.6612
O12 O 0.1045 0.8285 0.0997
O13 O 0.1045 0.8285 0.9003
O14 O 0.1417 0.8934 0.2480
O15 O 0.1417 0.8934 0.7520
O16 O 0.1449 0.2972 0.5000
O17 O 0.1595 0.0766 0.0906
O18 O 0.1595 0.0766 0.9094
O19 O 0.2064 0.0669 0.4442
O20 O 0.2064 0.0669 0.5558
O21 O 0.2200 0.7661 0.5000
O22 O 0.2401 0.4800 0.0709
O23 O 0.2401 0.4800 0.9291
O24 O 0.2599 0.9800 0.4291
O25 O 0.2599 0.9800 0.5709
O26 O 0.2800 0.2661 0.0000
O27 O 0.2936 0.5669 0.0558
O28 O 0.2936 0.5669 0.9442
O29 O 0.3405 0.5766 0.4094
O30 O 0.3405 0.5766 0.5906
O31 O 0.3551 0.7972 0.0000
O32 O 0.3583 0.3934 0.2520
O33 O 0.3583 0.3934 0.7480
O34 O 0.3955 0.3285 0.4003
O35 O 0.3955 0.3285 0.5997
O36 O 0.4027 0.9423 0.1612
O37 O 0.4027 0.9423 0.8388
O38 O 0.4337 0.0948 0.0000
O39 O 0.4659 0.1330 0.3350
O40 O 0.4659 0.1330 0.6650
O41 O 0.4790 0.3053 0.0960
O42 O 0.4790 0.3053 0.9040
O43 O 0.4857 0.0966 0.1628
O44 O 0.4857 0.0966 0.8372
O45 O 0.4856 0.1007 0.5000
O46 O 0.5000 0.5000 0.5000
O47 O 0.5144 0.8993 0.5000
O48 O 0.5143 0.9034 0.1628
O49 O 0.5143 0.9034 0.8372
O50 O 0.5210 0.6947 0.0960
O51 O 0.5210 0.6947 0.9040
O52 O 0.5341 0.8670 0.3350
O53 O 0.5341 0.8670 0.6650
O54 O 0.5663 0.9052 0.0000
O55 O 0.5973 0.0577 0.1612
O56 O 0.5973 0.0577 0.8388
O57 O 0.6045 0.6715 0.4003
O58 O 0.6045 0.6715 0.5997
O59 O 0.6417 0.6066 0.2520
O60 O 0.6417 0.6066 0.7480
O61 O 0.6449 0.2028 0.0000
O62 O 0.6595 0.4234 0.4094
O63 O 0.6595 0.4234 0.5906
O64 O 0.7064 0.4331 0.0558
O65 O 0.7064 0.4331 0.9442
O66 O 0.7200 0.7339 0.0000
O67 O 0.7401 0.0200 0.4291
O68 O 0.7401 0.0200 0.5709
O69 O 0.7599 0.5200 0.0709
O70 O 0.7599 0.5200 0.9291
O71 O 0.7800 0.2339 0.5000
O72 O 0.7936 0.9331 0.4442
O73 O 0.7936 0.9331 0.5558
O74 O 0.8405 0.9234 0.0906
O75 O 0.8405 0.9234 0.9094
O76 O 0.8551 0.7028 0.5000
O77 O 0.8583 0.1066 0.2480
O78 O 0.8583 0.1066 0.7520
O79 O 0.8955 0.1715 0.0997
O80 O 0.8955 0.1715 0.9003
O81 O 0.9027 0.5577 0.3388
O82 O 0.9027 0.5577 0.6612
O83 O 0.9337 0.4052 0.5000
O84 O 0.9659 0.3670 0.1650
O85 O 0.9659 0.3670 0.8350
O86 O 0.9790 0.1947 0.4040
O87 O 0.9790 0.1947 0.5960
O88 O 0.9856 0.3993 0.0000
O89 O 0.9857 0.4034 0.3372
O90 O 0.9857 0.4034 0.6628
```

- space-group type = Pnnm (58)
- formation energy from the elements (eV per atom) = -0.8724
- E (eV/atom) = -5.215

Compound: Sm2ZnRu
Source: the Materials Project
Functional: PBE-GGA
Structure: optimized geometry

Structure (CIF):
```
data_Sm2ZnRu
_chemical_formula_sum 'Sm8 Zn4 Ru4'
_symmetry_space_group_name_H-M 'P 1'
_symmetry_Int_Tables_number 1
_cell_length_a 7.1052
_cell_length_b 7.1052
_cell_length_c 7.1052
_cell_angle_alpha 90.00
_cell_angle_beta 90.00
_cell_angle_gamma 90.00
loop_
_symmetry_equiv_pos_as_xyz
'x,y,z'
loop_
_atom_site_label
_atom_site_type_symbol
_atom_site_fract_x
_atom_site_fract_y
_atom_site_fract_z
Sm1 Sm 0.2500 0.2500 0.2500
Sm2 Sm 0.2500 0.2500 0.7500
Sm3 Sm 0.2500 0.7500 0.2500
Sm4 Sm 0.2500 0.7500 0.7500
Sm5 Sm 0.7500 0.2500 0.2500
Sm6 Sm 0.7500 0.2500 0.7500
Sm7 Sm 0.7500 0.7500 0.2500
Sm8 Sm 0.7500 0.7500 0.7500
Zn1 Zn 0.0000 0.0000 0.0000
Zn2 Zn 0.0000 0.5000 0.5000
Zn3 Zn 0.5000 0.0000 0.5000
Zn4 Zn 0.5000 0.5000 0.0000
Ru1 Ru 0.0000 0.0000 0.5000
Ru2 Ru 0.0000 0.5000 0.0000
Ru3 Ru 0.5000 0.0000 0.0000
Ru4 Ru 0.5000 0.5000 0.5000
```

- space-group type = Fm-3m (225)
- formation energy from the elements (eV per atom) = -0.2771
- E (eV/atom) = -5.270

Compound: Cs2NaSrF6
Source: the Materials Project
Functional: PBE-GGA
Structure: optimized geometry

Structure (CIF):
```
data_Cs2NaSrF6
_chemical_formula_sum 'Cs2 Na1 Sr1 F6'
_symmetry_space_group_name_H-M 'P 1'
_symmetry_Int_Tables_number 1
_cell_length_a 6.6741
_cell_length_b 6.6741
_cell_length_c 6.6741
_cell_angle_alpha 60.00
_cell_angle_beta 60.00
_cell_angle_gamma 60.00
loop_
_symmetry_equiv_pos_as_xyz
'x,y,z'
loop_
_atom_site_label
_atom_site_type_symbol
_atom_site_fract_x
_atom_site_fract_y
_atom_site_fract_z
Cs1 Cs 0.2500 0.2500 0.2500
Cs2 Cs 0.7500 0.7500 0.7500
Na1 Na 0.0000 0.0000 0.0000
Sr1 Sr 0.5000 0.5000 0.5000
F1 F 0.2455 0.2455 0.7545
F2 F 0.2455 0.7545 0.2455
F3 F 0.2455 0.7545 0.7545
F4 F 0.7545 0.2455 0.2455
F5 F 0.7545 0.2455 0.7545
F6 F 0.7545 0.7545 0.2455
```

- space-group type = Fm-3m (225)
- formation energy from the elements (eV per atom) = -3.0176
- E (eV/atom) = -4.369